1.
Density functional theory data (r²SCAN) for a relaxed structure of Ac.

Cell: 5.696 5.696 5.696 Å, 90.00 90.00 90.00°
Space group Fm-3m (No. 225)
Asymmetric unit:
Ac 0.000 0.000 0.000

Properties
Distance to the lowest polymorph of the same formula ... 21.6 meV per atom

2.
Density functional theory data (r²SCAN) for a relaxed structure of Ac.

Cell: 4.0469 4.0469 29.3678 Å, 90.00 90.00 120.00°
Space group R-3m (No. 166, hexagonal axes)
Asymmetric unit:
Ac 0.0000 0.0000 0.0000
Ac 0.0000 0.0000 0.2226

Properties
Distance to the lowest polymorph of the same formula ... 11.8 meV per atom

3.
Density functional theory data (r²SCAN) for a relaxed structure of AcAg.

Cell: 3.948 3.948 3.948 Å, 90.00 90.00 90.00°
Space group Pm-3m (No. 221)
Asymmetric unit:
Ac 0.000 0.000 0.000
Ag 0.500 0.500 0.500

Properties
DFT total energy ... -45.268 eV/atom

4.
Density functional theory data (r²SCAN) for a relaxed structure of AcAg3.

Cell: 6.957 12.177 4.749 Å, 90.00 90.00 90.00°
Space group Cmcm (No. 63)
Asymmetric unit:
Ac 0.000 0.168 0.250
Ag 0.000 0.362 0.750
Ag 0.209 0.432 0.250

Properties
DFT total energy ... -33.377 eV/atom